No. 1
Density functional theory data (PBE with a Hubbard U) for BaV2CdO7 after structural relaxation.

Unit cell a=5.799 b=7.642 c=15.662 alpha=90.00 beta=90.00 gamma=90.00
Positions (direct):
O1 0.491 0.842 0.559
O2 0.491 0.701 0.849
O3 0.491 0.799 0.349
O4 0.250 0.567 0.466
Ba1 0.250 0.360 0.785
O5 0.991 0.201 0.651
O6 0.991 0.342 0.941
O7 0.750 0.018 0.220
O8 0.750 0.067 0.034
V1 0.250 0.797 0.061
V2 0.750 0.166 0.140
O9 0.750 0.087 0.848
O10 0.009 0.701 0.849
O11 0.250 0.518 0.280
O12 0.009 0.842 0.559
V3 0.250 0.666 0.360
Cd1 0.750 0.618 0.949
V4 0.250 0.834 0.860
O13 0.250 0.913 0.152
Cd2 0.750 0.882 0.449
V5 0.250 0.703 0.561
Ba2 0.750 0.640 0.215
V6 0.750 0.297 0.439
O14 0.009 0.799 0.349
O15 0.250 0.587 0.652
Cd3 0.250 0.382 0.051
O16 0.750 0.433 0.534
O17 0.491 0.658 0.059
O18 0.009 0.658 0.059
O19 0.250 0.982 0.780
O20 0.509 0.342 0.941
Ba3 0.250 0.140 0.285
Cd4 0.250 0.118 0.551
Ba4 0.750 0.860 0.715
O21 0.509 0.158 0.441
O22 0.750 0.413 0.348
V7 0.750 0.334 0.640
O23 0.991 0.299 0.151
V8 0.750 0.203 0.939
O24 0.509 0.299 0.151
O25 0.991 0.158 0.441
O26 0.509 0.201 0.651
O27 0.250 0.933 0.966
O28 0.750 0.482 0.720

Values from the calculation:
- SG: No. 62
- Crystal system: orthorhombic
- Spin magnetization: 0.001 Bohr magnetons per cell
- Energy relative to the elements: -2.494 eV/atom

No. 2
Density functional theory data (PBE with a Hubbard U) for Li2CrFeO4 after structural relaxation.

Unit cell a=2.974 b=5.154 c=5.167 alpha=70.49 beta=90.00 gamma=90.00
Positions (direct):
Li1 0.500 0.500 0.000
Li2 0.000 0.000 0.000
O1 0.000 0.241 0.274
O2 0.000 0.759 0.726
O3 0.500 0.744 0.272
O4 0.500 0.256 0.728
Cr1 0.500 0.000 0.500
Fe1 0.000 0.500 0.500

Values from the calculation:
- SG: No. 10
- Crystal system: monoclinic
- Spin magnetization: 8.000 Bohr magnetons per cell
- Energy relative to the elements: -2.170 eV/atom
- Energy above the lowest structure with this stoichiometry: 6 kJ/mol of formula units

No. 3
Density functional theory data (PBE with a Hubbard U) for CaFeGe2O6 after structural relaxation.

Unit cell a=6.900 b=8.014 c=9.601 alpha=76.89 beta=79.28 gamma=91.64
Positions (direct):
Fe1 0.911 0.170 0.920
Ge1 0.384 0.708 0.481
Ge2 0.616 0.792 0.019
O1 0.018 0.423 0.780
O2 0.326 0.934 0.457
Ge3 0.188 0.556 0.828
O3 0.375 0.771 0.118
O4 0.624 0.230 0.882
O5 0.323 0.434 0.957
Ge4 0.384 0.208 0.981
Ca1 0.696 0.027 0.277
O6 0.390 0.151 0.174
Ca2 0.304 0.473 0.223
O7 0.984 0.577 0.217
O8 0.982 0.077 0.720
Ge5 0.812 0.944 0.672
O9 0.376 0.270 0.618
O10 0.610 0.349 0.326
O11 0.608 0.850 0.826
O12 0.625 0.729 0.382
O13 0.113 0.236 0.390
Ge6 0.188 0.056 0.329
Ge7 0.616 0.292 0.519
Ge8 0.812 0.444 0.171
O14 0.206 0.078 0.938
Fe2 0.910 0.670 0.420
O15 0.203 0.581 0.438
O16 0.797 0.919 0.062
Ca3 0.303 0.973 0.724
O17 0.016 0.923 0.283
O18 0.889 0.764 0.613
Ca4 0.697 0.527 0.776
O19 0.111 0.736 0.887
Fe3 0.090 0.830 0.080
Fe4 0.089 0.330 0.580
O20 0.674 0.566 0.043
O21 0.887 0.264 0.110
O22 0.677 0.066 0.543
O23 0.794 0.422 0.562
O24 0.392 0.650 0.674

Values from the calculation:
- SG: No. 2
- Crystal system: triclinic
- Spin magnetization: 16.000 Bohr magnetons per cell
- Energy relative to the elements: -2.342 eV/atom
- Energy above the lowest structure with this stoichiometry: 0 kJ/mol of formula units

No. 4
Density functional theory data (PBE with a Hubbard U) for LiVP2H2O8 after structural relaxation.

Unit cell a=8.060 b=8.060 c=18.538 alpha=77.55 beta=77.55 gamma=59.97
Positions (direct):
Li1 0.698 0.196 0.916
P1 0.815 0.747 0.362
H1 0.568 0.599 0.360
O1 0.032 0.887 0.132
O2 0.198 0.079 0.695
O3 0.886 0.709 0.666
O4 0.759 0.617 0.334
O5 0.241 0.383 0.666
O6 0.210 0.741 0.667
O7 0.382 0.954 0.130
P2 0.253 0.185 0.138
P3 0.079 0.241 0.860
O8 0.383 0.241 0.166
O9 0.113 0.968 0.368
O10 0.887 0.032 0.632
O11 0.921 0.802 0.805
O12 0.414 0.976 0.303
H2 0.974 0.068 0.359
O13 0.789 0.439 0.062
O14 0.794 0.715 0.939
O15 0.945 0.708 0.063
O16 0.472 0.304 0.304
O17 0.709 0.886 0.166
O18 0.055 0.292 0.937
O19 0.046 0.618 0.370
V1 0.411 0.913 0.760
H3 0.095 0.479 0.362
V2 0.913 0.411 0.260
O20 0.708 0.945 0.563
H4 0.432 0.401 0.640
O21 0.535 0.453 0.631
Li2 0.302 0.804 0.084
O22 0.024 0.586 0.197
O23 0.439 0.789 0.562
H5 0.479 0.095 0.862
V3 0.589 0.087 0.240
O24 0.528 0.696 0.696
O25 0.285 0.206 0.561
O26 0.954 0.382 0.630
V4 0.500 0.000 0.500
O27 0.292 0.055 0.437
P4 0.685 0.418 0.138
O28 0.715 0.794 0.439
P5 0.241 0.079 0.360
P6 0.582 0.315 0.362
O29 0.291 0.114 0.834
Li3 0.255 0.745 0.250
O30 0.465 0.547 0.369
V5 0.087 0.589 0.740
H6 0.932 0.026 0.141
O31 0.561 0.211 0.438
H7 0.026 0.932 0.641
H8 0.068 0.974 0.859
O32 0.618 0.046 0.870
P7 0.747 0.815 0.862
P8 0.185 0.253 0.638
O33 0.586 0.024 0.697
O34 0.617 0.759 0.834
P9 0.418 0.685 0.638
O35 0.211 0.561 0.938
Li4 0.196 0.698 0.416
O36 0.790 0.259 0.333
H9 0.521 0.905 0.138
O37 0.547 0.465 0.869
O38 0.259 0.790 0.833
P10 0.315 0.582 0.862
Li5 0.804 0.302 0.584
H10 0.401 0.432 0.140
O39 0.802 0.921 0.305
O40 0.206 0.285 0.061
H11 0.599 0.568 0.860
O41 0.079 0.198 0.195
O42 0.741 0.210 0.167
V6 0.000 0.500 0.000
O43 0.114 0.291 0.334
O44 0.696 0.528 0.196
Li6 0.745 0.255 0.750
O45 0.976 0.414 0.803
O46 0.304 0.472 0.804
O47 0.453 0.535 0.131
P11 0.759 0.921 0.640
O48 0.968 0.113 0.868
H12 0.905 0.521 0.638
P12 0.921 0.759 0.140

Values from the calculation:
- SG: No. 15
- Crystal system: monoclinic
- Spin magnetization: 12.003 Bohr magnetons per cell
- Energy relative to the elements: -2.361 eV/atom
- Energy above the lowest structure with this stoichiometry: 71 kJ/mol of formula units

No. 5
Density functional theory data (PBE with a Hubbard U) for Na2MoO4 after structural relaxation.

Unit cell a=5.882 b=6.114 c=7.372 alpha=90.00 beta=90.00 gamma=118.75
Positions (direct):
Na1 0.627 0.314 0.250
Na2 0.031 0.000 0.000
Mo1 0.336 0.625 0.250
Na3 0.313 0.686 0.750
O1 0.685 0.751 0.250
O2 0.889 0.712 0.750
Mo2 0.711 0.375 0.750
Na4 0.031 0.000 0.500
O3 0.509 0.271 0.947
O4 0.238 0.729 0.053
O5 0.238 0.729 0.447
O6 0.509 0.271 0.553
O7 0.177 0.288 0.250
O8 0.933 0.249 0.750

Values from the calculation:
- SG: No. 40
- Crystal system: orthorhombic
- Spin magnetization: 0.000 Bohr magnetons per cell
- Energy relative to the elements: -2.107 eV/atom
- Energy above the lowest structure with this stoichiometry: 33 kJ/mol of formula units

No. 6
Density functional theory data (PBE with a Hubbard U) for V3O5F after structural relaxation.

Unit cell a=5.516 b=5.521 c=7.260 alpha=70.90 beta=71.02 gamma=73.86
Positions (direct):
O1 0.220 0.224 0.964
O2 0.564 0.571 0.639
O3 0.960 0.372 0.330
V1 0.024 0.966 0.015
O4 0.624 0.041 0.671
F1 0.699 0.301 0.001
V2 0.992 0.997 0.489
O5 0.783 0.782 0.019
V3 0.310 0.323 0.184
V4 0.675 0.693 0.820
V5 0.346 0.356 0.664
F2 0.104 0.098 0.699
O6 0.907 0.898 0.295
V6 0.661 0.665 0.329
O7 0.414 0.423 0.380
O8 0.029 0.631 0.673
O9 0.317 0.681 0.004
O10 0.372 0.974 0.323

Values from the calculation:
- SG: No. 1
- Crystal system: triclinic
- Spin magnetization: 8.000 Bohr magnetons per cell
- Energy relative to the elements: -2.571 eV/atom
- Energy above the lowest structure with this stoichiometry: 30 kJ/mol of formula units

No. 7
Density functional theory data (PBE with a Hubbard U) for KFe4P3O12 after structural relaxation.

Unit cell a=6.351 b=9.937 c=16.721 alpha=90.00 beta=90.00 gamma=90.00
Positions (direct):
O1 0.696 0.669 0.411
O2 0.500 0.104 0.697
O3 0.000 0.615 0.277
O4 0.202 0.595 0.676
O5 0.802 0.087 0.379
O6 0.198 0.087 0.379
K1 0.500 0.209 0.968
P1 0.000 0.213 0.037
O7 0.000 0.856 0.044
O8 0.500 0.386 0.748
Fe1 0.000 0.462 0.906
O9 0.198 0.913 0.621
K2 0.000 0.709 0.532
P2 0.000 0.958 0.666
P3 0.500 0.041 0.785
K3 0.000 0.291 0.468
P4 0.500 0.287 0.537
Fe2 0.500 0.483 0.362
O10 0.798 0.405 0.324
Fe3 0.000 0.538 0.094
O11 0.000 0.385 0.723
Fe4 0.749 0.250 0.204
P5 0.500 0.458 0.834
O12 0.500 0.867 0.478
O13 0.702 0.905 0.176
O14 0.000 0.396 0.197
Fe5 0.500 0.962 0.594
P6 0.500 0.713 0.463
O15 0.698 0.413 0.879
O16 0.196 0.831 0.911
P7 0.000 0.042 0.334
O17 0.000 0.887 0.320
Fe6 0.749 0.750 0.796
Fe7 0.751 0.250 0.704
O18 0.804 0.831 0.911
O19 0.798 0.595 0.676
O20 0.696 0.331 0.589
O21 0.000 0.114 0.248
O22 0.500 0.644 0.544
P8 0.500 0.542 0.166
O23 0.196 0.169 0.089
O24 0.500 0.885 0.777
P9 0.000 0.459 0.285
O25 0.802 0.913 0.621
Fe8 0.251 0.250 0.204
O26 0.000 0.604 0.803
O27 0.500 0.356 0.456
O28 0.500 0.115 0.223
P10 0.500 0.959 0.215
Fe9 0.000 0.017 0.862
O29 0.298 0.095 0.824
O30 0.500 0.896 0.303
K4 0.500 0.791 0.032
Fe10 0.000 0.983 0.138
O31 0.000 0.633 0.978
P11 0.000 0.541 0.715
O32 0.804 0.169 0.089
Fe11 0.500 0.038 0.406
O33 0.304 0.331 0.589
O34 0.000 0.886 0.752
O35 0.500 0.613 0.820
O36 0.500 0.614 0.252
P12 0.000 0.787 0.963
Fe12 0.251 0.750 0.796
O37 0.302 0.413 0.879
O38 0.702 0.095 0.824
O39 0.500 0.133 0.522
O40 0.202 0.405 0.324
O41 0.298 0.905 0.176
O42 0.698 0.587 0.121
O43 0.500 0.387 0.180
Fe13 0.249 0.750 0.296
O44 0.000 0.367 0.022
O45 0.000 0.144 0.956
O46 0.000 0.113 0.680
O47 0.302 0.587 0.121
O48 0.304 0.669 0.411
Fe14 0.500 0.517 0.638
Fe15 0.249 0.250 0.704
Fe16 0.751 0.750 0.296

Values from the calculation:
- SG: No. 58
- Crystal system: orthorhombic
- Spin magnetization: 64.001 Bohr magnetons per cell
- Energy relative to the elements: -2.342 eV/atom

No. 8
Density functional theory data (PBE with a Hubbard U) for Ca4Mg3Si8NiO24 after structural relaxation.

Unit cell a=9.033 b=5.321 c=9.850 alpha=74.65 beta=90.00 gamma=90.00
Positions (direct):
Si1 0.407 0.692 0.787
O1 0.018 0.394 0.350
Si2 0.592 0.193 0.787
O2 0.748 0.792 0.137
Si3 0.907 0.807 0.713
O3 0.248 0.291 0.637
Mg1 0.907 0.000 0.000
Ni1 0.407 0.500 0.500
Mg2 0.093 0.500 0.000
O4 0.481 0.394 0.850
Ca1 0.701 0.500 0.000
Si4 0.093 0.308 0.713
O5 0.752 0.208 0.363
O6 0.752 0.792 0.637
O7 0.087 0.775 0.116
O8 0.518 0.894 0.850
O9 0.748 0.208 0.863
O10 0.018 0.606 0.650
Si5 0.093 0.692 0.287
O11 0.982 0.106 0.650
O12 0.913 0.275 0.116
Mg3 0.592 0.000 0.500
O13 0.413 0.224 0.384
O14 0.248 0.709 0.363
Ca2 0.299 0.000 0.000
Si6 0.907 0.193 0.287
O15 0.518 0.106 0.150
O16 0.587 0.275 0.616
O17 0.587 0.725 0.384
O18 0.087 0.225 0.884
Ca3 0.201 0.000 0.500
O19 0.413 0.776 0.616
O20 0.481 0.606 0.150
Si7 0.407 0.308 0.213
O21 0.913 0.725 0.884
Ca4 0.799 0.500 0.500
O22 0.252 0.708 0.863
O23 0.982 0.894 0.350
O24 0.252 0.292 0.137
Si8 0.592 0.807 0.213

Values from the calculation:
- SG: No. 3
- Crystal system: monoclinic
- Spin magnetization: 2.000 Bohr magnetons per cell
- Energy relative to the elements: -3.247 eV/atom

No. 9
Density functional theory data (PBE with a Hubbard U) for MgCoCuO2 after structural relaxation.

Unit cell a=7.810 b=7.810 c=8.327 alpha=22.48 beta=22.48 gamma=23.77
Positions (direct):
Co1 0.596 0.596 0.235
Mg1 0.492 0.492 0.795
O1 0.208 0.208 0.925
O2 0.772 0.772 0.146
Cu1 0.036 0.036 0.014

Values from the calculation:
- SG: No. 8
- Crystal system: monoclinic
- Spin magnetization: 2.932 Bohr magnetons per cell
- Energy relative to the elements: -1.263 eV/atom
- Energy above the lowest structure with this stoichiometry: 0 kJ/mol of formula units

No. 10
Density functional theory data (PBE with a Hubbard U) for Li2MnVP3O12 after structural relaxation.

Unit cell a=8.983 b=8.590 c=8.277 alpha=59.39 beta=63.77 gamma=92.28
Positions (direct):
O1 0.917 0.559 0.302
O2 0.576 0.008 0.791
O3 0.590 0.382 0.603
Li1 0.372 0.207 0.364
O4 0.898 0.171 0.628
Li2 0.141 0.740 0.179
Li3 0.865 0.262 0.815
P1 0.749 0.971 0.782
O5 0.297 0.266 0.585
Mn1 0.953 0.646 0.703
O6 0.726 0.741 0.397
O7 0.432 0.804 0.578
P2 0.249 0.454 0.506
O8 0.272 0.886 0.849
O9 0.422 0.998 0.208
O10 0.090 0.842 0.371
O11 0.571 0.192 0.409
O12 0.738 0.112 0.145
O13 0.281 0.110 0.983
V1 0.439 0.146 0.706
O14 0.200 0.539 0.975
O15 0.793 0.504 0.677
P3 0.255 0.035 0.211
O16 0.089 0.433 0.701
P4 0.250 0.747 0.786
O17 0.891 0.206 0.281
O18 0.806 0.459 0.023
P5 0.755 0.249 0.210
O19 0.710 0.888 0.018
O20 0.413 0.620 0.396
O21 0.114 0.786 0.718
V2 0.565 0.849 0.299
O22 0.794 0.842 0.707
O23 0.216 0.172 0.276
Li4 0.862 0.928 0.403
O24 0.215 0.495 0.321
Mn2 0.050 0.352 0.299
P6 0.757 0.544 0.493

Values from the calculation:
- SG: No. 1
- Crystal system: triclinic
- Spin magnetization: 10.000 Bohr magnetons per cell
- Energy relative to the elements: -2.597 eV/atom
- Energy above the lowest structure with this stoichiometry: 4 kJ/mol of formula units

Calculated uncorrected energy, -299.5; -52.1; -265.8; -564.3; -84.2; -136.1; -560.7; -291.6; -26.0; -270.8 eV/cell (same order as the records).
Calculated total energy after the MP2020 corrections, -7.553; -7.387; -7.283; -7.232; -6.861; -8.560; -7.872; -7.766; -5.804; -7.738 eV/atom (same order as the records).